Material: Nb2Pb3O8
Method: DFT, PBE
State: optimized geometry

Cell and atoms, written as POSCAR:
```
Nb2Pb3O8
1.0
7.663 0.000 0.000
0.000 7.652 0.000
-0.037 0.000 10.844
Nb Pb O
6 9 24
Direct
0.000 0.000 0.000
0.000 0.500 0.500
0.245 0.250 0.248
0.245 0.750 0.248
0.755 0.250 0.752
0.755 0.750 0.752
0.000 0.000 0.500
0.265 0.258 0.753
0.265 0.742 0.753
0.500 0.000 0.000
0.500 0.000 0.500
0.500 0.500 0.000
0.500 0.500 0.500
0.735 0.258 0.247
0.735 0.742 0.247
0.074 0.181 0.125
0.074 0.311 0.381
0.074 0.689 0.381
0.074 0.819 0.125
0.235 0.500 0.581
0.237 0.000 0.921
0.244 0.000 0.317
0.254 0.500 0.202
0.448 0.209 0.130
0.448 0.791 0.130
0.457 0.285 0.369
0.457 0.715 0.369
0.543 0.285 0.631
0.543 0.715 0.631
0.552 0.209 0.870
0.552 0.791 0.870
0.746 0.500 0.798
0.756 0.000 0.683
0.763 0.000 0.079
0.765 0.500 0.419
0.926 0.181 0.875
0.926 0.311 0.619
0.926 0.689 0.619
0.926 0.819 0.875
```

DFT formation energy: -2.24 eV per atom
Symmetry: P2/m
Total moment: 0.0 μB per cell
ρ: 7.33 Mg/m³

Material: Gd2SeOF2
Method: DFT, PBE
State: optimized geometry

Cell and atoms, written as POSCAR:
```
Gd2SeOF2
1.0
13.606 0.000 0.000
-6.803 11.783 0.000
0.000 0.000 3.810
Gd Se O F
12 6 6 12
Direct
0.055 0.289 0.250
0.118 0.602 0.250
0.233 0.945 0.250
0.289 0.233 0.750
0.398 0.516 0.250
0.484 0.882 0.250
0.516 0.118 0.750
0.602 0.484 0.750
0.711 0.767 0.250
0.767 0.055 0.750
0.882 0.398 0.750
0.945 0.711 0.750
0.206 0.487 0.750
0.282 0.794 0.750
0.487 0.282 0.250
0.513 0.718 0.750
0.718 0.206 0.250
0.794 0.513 0.250
0.015 0.587 0.750
0.413 0.427 0.750
0.427 0.015 0.250
0.573 0.985 0.750
0.587 0.573 0.250
0.985 0.413 0.250
0.067 0.752 0.250
0.101 0.207 0.750
0.106 0.899 0.750
0.207 0.106 0.250
0.248 0.315 0.250
0.315 0.067 0.750
0.685 0.933 0.250
0.752 0.685 0.750
0.793 0.894 0.750
0.894 0.101 0.250
0.899 0.793 0.250
0.933 0.248 0.750
```

DFT formation energy: -3.61 eV per atom
Symmetry: P6_3/m
Total moment: 84.0 μB per cell
ρ: 7.30 Mg/m³

Material: Sr3GeO5
Method: DFT, PBE
State: optimized geometry

Cell and atoms, written as POSCAR:
```
Sr3GeO5
1.0
6.963 0.000 0.000
0.000 6.963 0.000
0.000 0.000 11.342
Sr Ge O
12 4 20
Direct
0.068 0.568 0.250
0.068 0.932 0.750
0.250 0.250 0.007
0.250 0.250 0.507
0.432 0.568 0.750
0.432 0.932 0.250
0.568 0.068 0.750
0.568 0.432 0.250
0.750 0.750 0.493
0.750 0.750 0.993
0.932 0.068 0.250
0.932 0.432 0.750
0.250 0.750 0.000
0.250 0.750 0.500
0.750 0.250 0.000
0.750 0.250 0.500
0.109 0.610 0.903
0.109 0.890 0.403
0.110 0.609 0.597
0.110 0.891 0.097
0.250 0.250 0.244
0.250 0.250 0.744
0.390 0.609 0.097
0.390 0.891 0.597
0.391 0.610 0.403
0.391 0.890 0.903
0.609 0.110 0.097
0.609 0.390 0.597
0.610 0.109 0.403
0.610 0.391 0.903
0.750 0.750 0.256
0.750 0.750 0.756
0.890 0.109 0.903
0.890 0.391 0.403
0.891 0.110 0.597
0.891 0.390 0.097
```

DFT formation energy: -2.91 eV per atom
Symmetry: P4/ncc
Total moment: 0.0 μB per cell
ρ: 5.02 Mg/m³

Material: ZnCr4CdSe8
Method: DFT, PBE
State: optimized geometry

Cell and atoms, written as POSCAR:
```
ZnCr4CdSe8
1.0
0.000 5.379 5.379
5.379 0.000 5.379
5.379 5.379 0.000
Zn Cr Cd Se
1 4 1 8
Direct
0.000 0.000 0.000
0.375 0.375 0.375
0.375 0.375 0.875
0.375 0.875 0.375
0.875 0.375 0.375
0.750 0.750 0.750
0.136 0.136 0.136
0.136 0.136 0.593
0.136 0.593 0.136
0.172 0.609 0.609
0.593 0.136 0.136
0.609 0.172 0.609
0.609 0.609 0.172
0.609 0.609 0.609
```

DFT formation energy: -0.84 eV per atom
Symmetry: F-43m
Total moment: 12.0 μB per cell
ρ: 5.43 Mg/m³

Material: Mg6CdGa
Method: DFT, PBE
State: optimized geometry

Cell and atoms, written as POSCAR:
```
Mg6CdGa
1.0
5.009 0.000 0.000
0.000 6.419 0.000
0.000 0.000 10.784
Mg Cd Ga
12 2 2
Direct
0.500 0.250 0.584
0.500 0.750 0.584
0.000 0.247 0.415
0.000 0.753 0.415
0.000 0.000 0.667
0.000 0.000 0.169
0.500 0.750 0.084
0.500 0.250 0.084
0.000 0.747 0.915
0.000 0.253 0.915
0.000 0.500 0.167
0.000 0.500 0.669
0.500 0.000 0.833
0.500 0.500 0.333
0.500 0.000 0.333
0.500 0.500 0.833
```

DFT formation energy: -0.05 eV per atom
Total moment: 0.0 μB per cell
Polymorph energy (0 for the lowest one): 0.0 kJ per mole of atoms
ρ: 3.14 Mg/m³

Material: Rh2O3
Method: DFT, PBE
State: optimized geometry

Cell and atoms, written as POSCAR:
```
Rh2O3
1.0
2.605 1.504 4.697
-2.605 1.504 4.697
0.000 -3.008 4.697
Rh O
4 6
Direct
0.151 0.151 0.151
0.349 0.349 0.349
0.651 0.651 0.651
0.849 0.849 0.849
0.050 0.750 0.450
0.250 0.550 0.950
0.450 0.050 0.750
0.550 0.950 0.250
0.750 0.450 0.050
0.950 0.250 0.550
```

DFT formation energy: -1.07 eV per atom
Symmetry: R-3c
ρ: 7.63 Mg/m³

Values for DFT total energy, eV per atom, ordered as above
-7.273 -10.083 -6.357 -5.485 -1.742 -6.570